# 1
Entry from the Materials Project: crystalline Ba7Ga5AgSe15 at its relaxed geometry (PBE-GGA).

Values from the calculation:
* DFT formation energy: -1.591 eV/atom
* space group: No. 159

Cell lengths 10.221, 10.221, 19.021 Å; angles 90.00, 90.00, 120.00 degrees
Positions (direct):
Ba: 0.000 0.000 0.821
Ba: 0.000 0.000 0.321
Ba: 0.649 0.728 0.517
Ba: 0.079 0.351 0.517
Ba: 0.272 0.921 0.517
Ba: 0.921 0.272 0.017
Ba: 0.728 0.649 0.017
Ba: 0.351 0.079 0.017
Ba: 0.578 0.975 0.707
Ba: 0.397 0.422 0.707
Ba: 0.025 0.603 0.707
Ba: 0.603 0.025 0.207
Ba: 0.975 0.578 0.207
Ba: 0.422 0.397 0.207
Ga: 0.667 0.333 0.577
Ga: 0.333 0.667 0.077
Ga: 0.536 0.890 0.906
Ga: 0.354 0.464 0.906
Ga: 0.110 0.646 0.906
Ga: 0.646 0.110 0.406
Ga: 0.890 0.536 0.406
Ga: 0.464 0.354 0.406
Ga: 0.000 0.000 0.630
Ga: 0.000 0.000 0.130
Ag: 0.667 0.333 0.856
Ag: 0.333 0.667 0.356
Se: 0.880 0.624 0.864
Se: 0.745 0.120 0.864
Se: 0.376 0.255 0.864
Se: 0.255 0.376 0.364
Se: 0.624 0.880 0.364
Se: 0.120 0.745 0.364
Se: 0.570 0.689 0.859
Se: 0.119 0.430 0.859
Se: 0.311 0.881 0.859
Se: 0.881 0.311 0.359
Se: 0.689 0.570 0.359
Se: 0.430 0.119 0.359
Se: 0.895 0.558 0.535
Se: 0.663 0.105 0.535
Se: 0.442 0.337 0.535
Se: 0.337 0.442 0.035
Se: 0.558 0.895 0.035
Se: 0.105 0.663 0.035
Se: 0.667 0.333 0.701
Se: 0.333 0.667 0.201
Se: 0.000 0.000 0.501
Se: 0.000 0.000 0.001
Se: 0.772 0.791 0.681
Se: 0.019 0.228 0.681
Se: 0.209 0.981 0.681
Se: 0.981 0.209 0.181
Se: 0.791 0.772 0.181
Se: 0.228 0.019 0.181
Se: 0.333 0.667 0.609
Se: 0.667 0.333 0.109

# 2
Entry from the Materials Project: crystalline Ba4Ga5AgSe12 at its relaxed geometry (PBE-GGA).

Values from the calculation:
* DFT formation energy: -1.398 eV/atom
* space group: No. 81

Cell lengths 13.949, 13.949, 6.628 Å; angles 90.00, 90.00, 90.00 degrees
Positions (direct):
Ba: 0.526 0.213 0.956
Ba: 0.026 0.287 0.539
Ba: 0.474 0.787 0.956
Ba: 0.974 0.713 0.539
Ba: 0.787 0.526 0.044
Ba: 0.713 0.026 0.461
Ba: 0.213 0.474 0.044
Ba: 0.287 0.974 0.461
Ga: 0.743 0.362 0.554
Ga: 0.243 0.138 0.949
Ga: 0.257 0.638 0.554
Ga: 0.757 0.862 0.949
Ga: 0.638 0.743 0.446
Ga: 0.862 0.243 0.051
Ga: 0.362 0.257 0.446
Ga: 0.138 0.757 0.051
Ga: 0.500 0.500 0.500
Ga: 0.000 0.000 0.000
Ag: 0.000 0.500 0.791
Ag: 0.500 0.000 0.209
Se: 0.807 0.215 0.707
Se: 0.307 0.285 0.792
Se: 0.193 0.785 0.707
Se: 0.693 0.715 0.792
Se: 0.785 0.807 0.293
Se: 0.715 0.307 0.208
Se: 0.215 0.193 0.293
Se: 0.285 0.693 0.208
Se: 0.853 0.496 0.536
Se: 0.352 0.003 0.958
Se: 0.147 0.504 0.536
Se: 0.648 0.997 0.958
Se: 0.504 0.853 0.464
Se: 0.997 0.352 0.042
Se: 0.496 0.147 0.464
Se: 0.003 0.648 0.042
Se: 0.604 0.416 0.740
Se: 0.105 0.083 0.760
Se: 0.396 0.584 0.740
Se: 0.895 0.917 0.760
Se: 0.584 0.604 0.260
Se: 0.917 0.105 0.240
Se: 0.416 0.396 0.260
Se: 0.083 0.895 0.240